Compound: Na3Y2Nb2SiP5O24
Source: the Materials Project
Functional: PBE-GGA
Structure: relaxed

Cell and atoms, written as POSCAR:
```
Na3Y2Nb2SiP5O24
1.0
-1.8509 8.4691 -2.7248
3.2557 -6.0586 -5.9096
-21.4321 -6.4468 -5.2384
O Nb P Y Na Si
72 6 15 6 9 3
direct
0.8696 0.3709 0.6376
0.8562 0.3205 0.5296
0.1373 0.6737 0.7603
0.1995 0.2061 0.0898
0.0252 0.8135 0.6994
0.0054 0.2098 0.1960
0.8708 0.5361 0.4221
0.1499 0.6308 0.0736
0.8105 0.2877 0.2467
0.0451 0.8540 0.4108
0.4819 0.8549 0.0778
0.1807 0.9918 0.5850
0.8612 0.4938 0.1413
0.6682 0.5312 0.9208
0.5356 0.6692 0.2552
0.2025 0.1667 0.8044
0.7947 0.9923 0.0917
0.5014 0.3676 0.1371
0.4733 0.1414 0.5273
0.1996 0.9912 0.1964
0.6737 0.1347 0.4223
0.6318 0.1283 0.1390
0.1660 0.4664 0.9705
0.9885 0.8096 0.0893
0.5459 0.6986 0.9742
0.3353 0.8761 0.8580
0.3746 0.8468 0.5756
0.4671 0.1297 0.9217
0.1321 0.6615 0.3619
0.1676 0.6999 0.4704
0.1295 0.4687 0.2569
0.3000 0.4645 0.4698
0.7795 0.9846 0.6864
0.6829 0.5449 0.5286
0.3336 0.8675 0.2572
0.4997 0.1357 0.6412
0.9840 0.1918 0.5904
0.1251 0.4670 0.8622
0.1989 0.0314 0.3048
0.1418 0.5128 0.5772
0.0453 0.1900 0.9116
0.7896 0.7951 0.1916
0.3366 0.4671 0.3611
0.1467 0.1889 0.4105
0.8165 0.5296 0.7461
0.8140 0.8517 0.9120
0.5116 0.8648 0.7541
0.4794 0.6205 0.5771
0.4576 0.3196 0.0286
0.5412 0.8388 0.4727
0.9689 0.1691 0.3046
0.1466 0.9559 0.9135
0.3058 0.8307 0.9675
0.3312 0.4665 0.7555
0.8357 0.8043 0.3013
0.4650 0.3339 0.4208
0.5286 0.8689 0.3639
0.5343 0.6648 0.8646
0.7081 0.5230 0.2451
0.1995 0.2043 0.6959
0.8363 0.0247 0.8032
0.4756 0.1871 0.2467
0.8426 0.5365 0.0288
0.4744 0.2893 0.7469
0.7920 0.8040 0.5888
0.3863 0.5238 0.0782
0.8666 0.3287 0.9233
0.7081 0.1958 0.7422
0.6373 0.5068 0.6377
0.6793 0.1360 0.0301
0.8108 0.9549 0.4099
0.9686 0.8006 0.8066
0.0006 0.0006 0.3524
0.6714 0.3346 0.1867
0.3255 0.6673 0.0186
0.3309 0.6666 0.5184
0.9913 0.9983 0.8526
0.6686 0.3318 0.6849
0.3822 0.3471 0.0828
0.3161 0.9528 0.9138
0.7151 0.7004 0.2478
0.3173 0.3665 0.4152
0.2996 0.2862 0.7505
0.0469 0.3640 0.9161
0.6362 0.9525 0.4166
0.9858 0.7006 0.7523
0.9641 0.3477 0.5824
0.6516 0.6181 0.5824
0.3023 0.0162 0.2508
0.9841 0.2872 0.2508
0.6362 0.6803 0.9184
0.6515 0.0329 0.0841
0.0499 0.6829 0.4151
0.3374 0.6622 0.8142
0.6662 0.3296 0.9786
0.6637 0.3352 0.4772
0.0014 0.9968 0.6468
0.3359 0.6678 0.3120
0.0089 0.0086 0.1478
0.3480 0.9888 0.7526
0.6749 0.9806 0.5873
0.6625 0.3304 0.3348
0.3288 0.6419 0.6699
0.3230 0.6670 0.1705
0.0203 0.0073 0.0016
0.6810 0.3539 0.8364
0.6835 0.6985 0.0813
0.0271 0.9999 0.5022
0.7077 0.0103 0.7459
0.9631 0.6219 0.0827
0.3718 0.0317 0.5814
```

* energy of formation: -2.9930 eV per atom



Compound: Rb2YHgBr6
Source: the Materials Project
Functional: PBE-GGA
Structure: relaxed

Cell and atoms, written as POSCAR:
```
Rb2YHgBr6
1.0
0.0000 5.8489 5.8489
5.8489 0.0000 5.8489
5.8489 5.8489 0.0000
Y Br Hg Rb
1 6 1 2
direct
0.0000 0.0000 0.0000
0.7608 0.2392 0.2392
0.2392 0.7608 0.7608
0.7608 0.2392 0.7608
0.2392 0.7608 0.2392
0.7608 0.7608 0.2392
0.2392 0.2392 0.7608
0.5000 0.5000 0.5000
0.2500 0.2500 0.2500
0.7500 0.7500 0.7500
```

* energy of formation: -1.7826 eV per atom



Compound: Mg4AlB10
Source: the Materials Project
Functional: PBE-GGA
Structure: relaxed

Cell and atoms, written as POSCAR:
```
Mg4AlB10
1.0
0.1125 1.7026 2.5519
-2.6152 -1.3938 -0.8012
4.6376 -13.9227 9.0845
B Al Mg
10 1 4
direct
0.3333 0.6667 0.0916
0.3333 0.6667 0.9084
0.6667 0.3333 0.5000
0.3333 0.6667 0.2987
0.6667 0.3333 0.0916
0.3333 0.6667 0.7013
0.3333 0.6667 0.5000
0.6667 0.3333 0.2987
0.6667 0.3333 0.7013
0.6667 0.3333 0.9084
0.0000 0.0000 0.0000
0.0000 0.0000 0.1990
0.0000 0.0000 0.8010
0.0000 0.0000 0.3999
0.0000 0.0000 0.6001
```

* energy of formation: -0.1394 eV per atom



> Among the records above, which one has the lowest energy of formation?

Na3Y2Nb2SiP5O24